Computed, not measured: an optimized crystal structure of Sr6ZnRu2O12 at the PBE level of DFT.

Cell: 8.8113 8.8113 6.9844 Å, 112.22 112.22 36.86°
Sites, in units of the cell vectors:
Sr (0.0480, 0.0480, 0.2854)
Sr (0.2921, 0.2921, 0.7047)
Sr (0.3894, 0.3894, 0.2945)
Sr (0.6106, 0.6106, 0.7055)
Sr (0.7079, 0.7079, 0.2953)
Sr (0.9520, 0.9520, 0.7146)
Zn (0.5000, 0.5000, 0.0000)
Ru (0.1703, 0.1703, 0.9985)
Ru (0.8297, 0.8297, 0.0015)
O (0.0000, 0.5000, 0.0000)
O (0.1136, 0.1136, 0.6788)
O (0.1510, 0.6722, 0.9993)
O (0.2205, 0.2205, 0.3219)
O (0.3278, 0.8490, 0.0007)
O (0.4444, 0.4444, 0.6700)
O (0.5000, 0.0000, 0.0000)
O (0.5556, 0.5556, 0.3300)
O (0.6722, 0.1510, 0.9993)
O (0.7795, 0.7795, 0.6781)
O (0.8490, 0.3278, 0.0007)
O (0.8864, 0.8864, 0.3212)

Computed properties:
Calculated volume ... 14.204 Å³/atom
Space-group type ... No. 12
Crystal system ... monoclinic
Energy of formation ... -242 kJ/mol of atoms
Calculated total energy ... -6.366 eV/atom